# 1
# Cu2H26C6S7N12O5

An optimized crystal structure of Cu2H26C6S7N12O5 (PBE, the Materials Project database).

Properties
Raw total energy   -5.661 eV per atom
DFT formation energy   -2534 kJ/mol of formula units
Volume   1309 Å³/cell
Total magnetization   0.00 μB per atom

a b c (Å): 11.2011 11.4435 12.3502
angles (deg): 64.68 76.36 66.62
Atoms (fractional coordinates):
Cu 0.1191 0.2181 0.4004
Cu 0.1358 0.9045 0.7474
Cu 0.8642 0.0955 0.2526
Cu 0.8809 0.7819 0.5996
H 0.0446 0.5980 0.0821
H 0.0884 0.6965 0.3232
H 0.0950 0.9510 0.4083
H 0.1226 0.6773 0.9424
H 0.1291 0.5563 0.8101
H 0.1422 0.3762 0.5850
H 0.1492 0.2834 0.8518
H 0.1584 0.3514 0.1666
H 0.1945 0.8826 0.9654
H 0.2056 0.3456 0.0216
H 0.2107 0.1055 0.9147
H 0.2442 0.8528 0.3573
H 0.2560 0.6707 0.2877
H 0.2687 0.4445 0.8276
H 0.3063 0.8173 0.0740
H 0.3109 0.3261 0.6018
H 0.3225 0.5969 0.6446
H 0.3371 0.3325 0.3014
H 0.3746 0.1509 0.0027
H 0.3747 0.9772 0.6654
H 0.3801 0.6659 0.4943
H 0.3962 0.4628 0.2788
H 0.4387 0.0994 0.6546
H 0.4421 0.0099 0.1298
H 0.4540 0.4062 0.0562
H 0.4984 0.3595 0.9307
H 0.5016 0.6405 0.0693
H 0.5460 0.5938 0.9438
H 0.5579 0.9901 0.8702
H 0.5613 0.9006 0.3454
H 0.6038 0.5372 0.7212
H 0.6199 0.3341 0.5057
H 0.6253 0.0228 0.3346
H 0.6254 0.8491 0.9973
H 0.6629 0.6675 0.6986
H 0.6775 0.4031 0.3554
H 0.6891 0.6739 0.3982
H 0.6937 0.1827 0.9260
H 0.7313 0.5555 0.1724
H 0.7440 0.3293 0.7123
H 0.7558 0.1472 0.6427
H 0.7893 0.8945 0.0853
H 0.7944 0.6544 0.9784
H 0.8055 0.1174 0.0346
H 0.8416 0.6486 0.8334
H 0.8508 0.7166 0.1482
H 0.8578 0.6238 0.4150
H 0.8709 0.4437 0.1899
H 0.8774 0.3227 0.0576
H 0.9050 0.0490 0.5917
H 0.9116 0.3035 0.6768
H 0.9554 0.4020 0.9179
C 0.0406 0.1945 0.9994
C 0.1911 0.7725 0.5378
C 0.1971 0.5119 0.3069
C 0.2463 0.1735 0.6203
C 0.3031 0.1764 0.1639
C 0.3685 0.7431 0.9376
C 0.6315 0.2569 0.0624
C 0.6969 0.8236 0.8361
C 0.7537 0.8265 0.3797
C 0.8029 0.4881 0.6931
C 0.8089 0.2275 0.4622
C 0.9594 0.8055 0.0006
S 0.0361 0.0468 0.1177
S 0.0651 0.4606 0.3281
S 0.0685 0.7913 0.6526
S 0.1158 0.1326 0.6118
S 0.3146 0.1073 0.3169
S 0.3362 0.7471 0.8063
S 0.4950 0.2844 0.7481
S 0.5050 0.7156 0.2519
S 0.6638 0.2529 0.1937
S 0.6854 0.8927 0.6831
S 0.8842 0.8674 0.3882
S 0.9315 0.2087 0.3474
S 0.9349 0.5394 0.6719
S 0.9639 0.9532 0.8823
N 0.0502 0.6831 0.0092
N 0.1354 0.1934 0.9094
N 0.1726 0.8618 0.4254
N 0.1801 0.6331 0.3087
N 0.2181 0.3019 0.1119
N 0.2322 0.3025 0.5989
N 0.2864 0.8263 0.9932
N 0.3043 0.6686 0.5605
N 0.3195 0.4332 0.2849
N 0.3626 0.0763 0.6477
N 0.3795 0.1084 0.0940
N 0.4798 0.6526 0.9878
N 0.5202 0.3474 0.0122
N 0.6205 0.8916 0.9060
N 0.6374 0.9237 0.3523
N 0.6805 0.5668 0.7151
N 0.6957 0.3314 0.4395
N 0.7136 0.1737 0.0068
N 0.7678 0.6975 0.4011
N 0.7819 0.6981 0.8881
N 0.8199 0.3669 0.6913
N 0.8274 0.1382 0.5746
N 0.8646 0.8066 0.0906
N 0.9498 0.3169 0.9908
O 0.1756 0.4601 0.8586
O 0.3618 0.7751 0.2350
O 0.4292 0.1841 0.8308
O 0.4389 0.4124 0.7776
O 0.4754 0.3202 0.6209
O 0.5246 0.6798 0.3791
O 0.5611 0.5876 0.2224
O 0.5708 0.8159 0.1693
O 0.6382 0.2249 0.7650
O 0.8244 0.5399 0.1414

# 2
# CuH12PtC4N8

An optimized crystal structure of CuH12PtC4N8 (PBE, the Materials Project database).

Properties
Raw total energy   -6.055 eV per atom
DFT formation energy   -562 kJ/mol of formula units
Volume   1252 Å³/cell
Total magnetization   0.04 μB per atom

a b c (Å): 14.9842 7.7299 10.8093
angles (deg): 90.00 90.00 90.00
Atoms (fractional coordinates):
Cu 0.2005 0.2500 0.1304
Cu 0.2995 0.7500 0.6304
Cu 0.7005 0.2500 0.3696
Cu 0.7995 0.7500 0.8696
H 0.0739 0.0272 0.1212
H 0.0739 0.4728 0.1212
H 0.0889 0.1085 0.9802
H 0.0889 0.3915 0.9802
H 0.1594 0.5402 0.0344
H 0.1594 0.9598 0.0344
H 0.1668 0.5983 0.7366
H 0.1668 0.9017 0.7366
H 0.2355 0.0497 0.6808
H 0.2355 0.4503 0.6808
H 0.2405 0.0497 0.3133
H 0.2405 0.4503 0.3133
H 0.2595 0.5497 0.8133
H 0.2595 0.9503 0.8133
H 0.2645 0.5497 0.1808
H 0.2645 0.9503 0.1808
H 0.3332 0.0983 0.2366
H 0.3332 0.4017 0.2366
H 0.3406 0.0402 0.5344
H 0.3406 0.4598 0.5344
H 0.4111 0.6085 0.4802
H 0.4111 0.8915 0.4802
H 0.4261 0.5272 0.6212
H 0.4261 0.9728 0.6212
H 0.5739 0.0272 0.3788
H 0.5739 0.4728 0.3788
H 0.5889 0.1085 0.5198
H 0.5889 0.3915 0.5198
H 0.6594 0.5402 0.4656
H 0.6594 0.9598 0.4656
H 0.6668 0.5983 0.7634
H 0.6668 0.9017 0.7634
H 0.7355 0.0497 0.8192
H 0.7355 0.4503 0.8192
H 0.7405 0.0497 0.1867
H 0.7405 0.4503 0.1867
H 0.7595 0.5497 0.6867
H 0.7595 0.9503 0.6867
H 0.7645 0.5497 0.3192
H 0.7645 0.9503 0.3192
H 0.8332 0.0983 0.2634
H 0.8332 0.4017 0.2634
H 0.8406 0.0402 0.9656
H 0.8406 0.4598 0.9656
H 0.9111 0.6085 0.0198
H 0.9111 0.8915 0.0198
H 0.9261 0.5272 0.8788
H 0.9261 0.9728 0.8788
Pt 0.0101 0.2500 0.5238
Pt 0.4899 0.7500 0.0238
Pt 0.5101 0.2500 0.9762
Pt 0.9899 0.7500 0.4762
C 0.0108 0.7500 0.6586
C 0.0242 0.2500 0.7078
C 0.1225 0.7500 0.4585
C 0.1424 0.2500 0.5061
C 0.3576 0.7500 0.0061
C 0.3775 0.2500 0.9585
C 0.4758 0.7500 0.2078
C 0.4892 0.2500 0.1586
C 0.5108 0.7500 0.8414
C 0.5242 0.2500 0.7922
C 0.6225 0.7500 0.0415
C 0.6424 0.2500 0.9939
C 0.8576 0.7500 0.4939
C 0.8775 0.2500 0.5415
C 0.9758 0.7500 0.2922
C 0.9892 0.2500 0.3414
N 0.0306 0.7500 0.7639
N 0.0323 0.2500 0.8160
N 0.1211 0.0648 0.0581
N 0.1211 0.4352 0.0581
N 0.2010 0.7500 0.4561
N 0.2210 0.2500 0.5024
N 0.2328 0.5660 0.7269
N 0.2328 0.9340 0.7269
N 0.2672 0.0660 0.2269
N 0.2672 0.4340 0.2269
N 0.2790 0.7500 0.0024
N 0.2990 0.2500 0.9561
N 0.3789 0.5648 0.5581
N 0.3789 0.9352 0.5581
N 0.4677 0.7500 0.3160
N 0.4694 0.2500 0.2639
N 0.5306 0.7500 0.7361
N 0.5323 0.2500 0.6840
N 0.6211 0.0648 0.4419
N 0.6211 0.4352 0.4419
N 0.7010 0.7500 0.0439
N 0.7210 0.2500 0.9976
N 0.7328 0.5660 0.7731
N 0.7328 0.9340 0.7731
N 0.7672 0.0660 0.2731
N 0.7672 0.4340 0.2731
N 0.7790 0.7500 0.4976
N 0.7990 0.2500 0.5439
N 0.8789 0.5648 0.9419
N 0.8789 0.9352 0.9419
N 0.9677 0.7500 0.1840
N 0.9694 0.2500 0.2361

# 3
# CuH2CS2N

An optimized crystal structure of CuH2CS2N (PBE, the Materials Project database).

Properties
Raw total energy   -5.353 eV per atom
DFT formation energy   -204 kJ/mol of formula units
Volume   390 Å³/cell
Total magnetization   0.00 μB per atom

a b c (Å): 5.9614 6.8132 9.6113
angles (deg): 90.00 90.00 90.00
Atoms (fractional coordinates):
Cu 0.0937 0.2401 0.1301
Cu 0.4063 0.7599 0.6301
Cu 0.5937 0.2599 0.8699
Cu 0.9063 0.7401 0.3699
H 0.0991 0.0543 0.5889
H 0.1575 0.6294 0.8397
H 0.3425 0.3706 0.3397
H 0.4009 0.9457 0.0889
H 0.5991 0.4457 0.4111
H 0.6575 0.8706 0.1603
H 0.8425 0.1294 0.6603
H 0.9009 0.5543 0.9111
C 0.0866 0.0617 0.8025
C 0.4134 0.9383 0.3025
C 0.5866 0.4383 0.1975
C 0.9134 0.5617 0.6975
S 0.0862 0.6082 0.5577
S 0.1395 0.0224 0.3213
S 0.3605 0.9776 0.8213
S 0.4138 0.3918 0.0577
S 0.5862 0.8918 0.4423
S 0.6395 0.4776 0.6787
S 0.8605 0.5224 0.1787
S 0.9138 0.1082 0.9423
N 0.0034 0.0815 0.6749
N 0.4966 0.9185 0.1749
N 0.5034 0.4185 0.3251
N 0.9966 0.5815 0.8251

# 4
# CuH9C4S4N

An optimized crystal structure of CuH9C4S4N (PBE, the Materials Project database).

Properties
Raw total energy   -5.129 eV per atom
DFT formation energy   -328 kJ/mol of formula units
Volume   1002 Å³/cell
Total magnetization   0.00 μB per atom

a b c (Å): 9.5016 10.9790 10.9820
angles (deg): 78.38 74.14 66.05
Atoms (fractional coordinates):
Cu 0.0704 0.4428 0.1100
Cu 0.4175 0.0454 0.6222
Cu 0.5825 0.9546 0.3778
Cu 0.9296 0.5572 0.8900
H 0.0092 0.8435 0.5456
H 0.0336 0.6108 0.5815
H 0.1134 0.9061 0.8382
H 0.1148 0.7749 0.9657
H 0.1539 0.8920 0.4261
H 0.1935 0.0277 0.9461
H 0.1941 0.9118 0.0865
H 0.1980 0.4898 0.4914
H 0.2004 0.8032 0.5742
H 0.2242 0.5569 0.6156
H 0.2336 0.7355 0.8115
H 0.3603 0.7312 0.2959
H 0.3636 0.6616 0.0559
H 0.3669 0.9468 0.0087
H 0.3846 0.5581 0.3284
H 0.4353 0.6338 0.4314
H 0.4676 0.6235 0.8975
H 0.4744 0.2863 0.0198
H 0.5256 0.7137 0.9802
H 0.5324 0.3765 0.1025
H 0.5647 0.3662 0.5686
H 0.6154 0.4419 0.6716
H 0.6331 0.0532 0.9913
H 0.6364 0.3384 0.9441
H 0.6397 0.2688 0.7041
H 0.7664 0.2645 0.1885
H 0.7758 0.4431 0.3844
H 0.7996 0.1968 0.4258
H 0.8020 0.5102 0.5086
H 0.8059 0.0882 0.9135
H 0.8065 0.9723 0.0539
H 0.8461 0.1080 0.5739
H 0.8852 0.2251 0.0343
H 0.8866 0.0939 0.1618
H 0.9664 0.3892 0.4185
H 0.9908 0.1565 0.4544
C 0.1100 0.2857 0.7591
C 0.1350 0.8134 0.5004
C 0.1601 0.5812 0.5375
C 0.1886 0.8099 0.8807
C 0.2656 0.9328 0.9925
C 0.2952 0.1558 0.2504
C 0.3503 0.6506 0.3716
C 0.4240 0.7000 0.9643
C 0.5760 0.3000 0.0357
C 0.6497 0.3494 0.6284
C 0.7048 0.8442 0.7496
C 0.7344 0.0672 0.0075
C 0.8114 0.1901 0.1193
C 0.8399 0.4188 0.4625
C 0.8650 0.1866 0.4996
C 0.8900 0.7143 0.2409
S 0.0776 0.6067 0.2004
S 0.1544 0.1565 0.6738
S 0.1584 0.2190 0.1582
S 0.1958 0.4590 0.8950
S 0.2710 0.2940 0.8021
S 0.3119 0.2704 0.3313
S 0.4018 0.9901 0.2630
S 0.4839 0.1711 0.4316
S 0.5161 0.8289 0.5684
S 0.5982 0.0099 0.7370
S 0.6881 0.7296 0.6687
S 0.7290 0.7060 0.1979
S 0.8042 0.5410 0.1050
S 0.8416 0.7810 0.8418
S 0.8456 0.8435 0.3262
S 0.9224 0.3933 0.7996
N 0.1901 0.6878 0.4462
N 0.3181 0.8255 0.9124
N 0.6819 0.1745 0.0876
N 0.8099 0.3122 0.5538

# 5
# Cu2H10C6S3N4

An optimized crystal structure of Cu2H10C6S3N4 (PBE, the Materials Project database).

Properties
Energy above the lowest structure with this stoichiometry   0.00 eV/f.u.
Raw total energy   -5.764 eV per atom
DFT formation energy   -366 kJ/mol of formula units
Volume   1257 Å³/cell
Total magnetization   0.00 μB per atom

a b c (Å): 5.8280 30.5992 7.6373
angles (deg): 90.00 112.60 90.00
Atoms (fractional coordinates):
Cu 0.0746 0.0402 0.4167
Cu 0.0746 0.4598 0.9167
Cu 0.3203 0.7138 0.0117
Cu 0.3203 0.7862 0.5117
Cu 0.6797 0.2138 0.4883
Cu 0.6797 0.2862 0.9883
Cu 0.9254 0.5402 0.0833
Cu 0.9254 0.9598 0.5833
H 0.0347 0.1844 0.1222
H 0.0347 0.3156 0.6222
H 0.0374 0.5532 0.5613
H 0.0374 0.9468 0.0613
H 0.0814 0.1372 0.7864
H 0.0814 0.3628 0.2864
H 0.1454 0.1093 0.1736
H 0.1454 0.3907 0.6736
H 0.2094 0.6515 0.3600
H 0.2094 0.8485 0.8600
H 0.2242 0.6695 0.5894
H 0.2242 0.8305 0.0894
H 0.2475 0.5744 0.4634
H 0.2475 0.9256 0.9634
H 0.2702 0.5924 0.6946
H 0.2702 0.9076 0.1946
H 0.2997 0.0977 0.9304
H 0.2997 0.4023 0.4304
H 0.3232 0.1543 0.0040
H 0.3232 0.3457 0.5040
H 0.6768 0.6543 0.4960
H 0.6768 0.8457 0.9960
H 0.7003 0.5977 0.5696
H 0.7003 0.9023 0.0696
H 0.7298 0.0924 0.8054
H 0.7298 0.4076 0.3054
H 0.7525 0.0744 0.0366
H 0.7525 0.4256 0.5366
H 0.7758 0.1695 0.9106
H 0.7758 0.3305 0.4106
H 0.7906 0.1515 0.1400
H 0.7906 0.3485 0.6400
H 0.8546 0.6093 0.3264
H 0.8546 0.8907 0.8264
H 0.9186 0.6372 0.7136
H 0.9186 0.8628 0.2136
H 0.9626 0.0532 0.9387
H 0.9626 0.4468 0.4387
H 0.9653 0.6844 0.3778
H 0.9653 0.8156 0.8778
C 0.1024 0.6590 0.4466
C 0.1024 0.8410 0.9466
C 0.1443 0.5819 0.5528
C 0.1443 0.9181 0.0528
C 0.1971 0.1276 0.9318
C 0.1971 0.3724 0.4318
C 0.2316 0.2365 0.6069
C 0.2316 0.2635 0.1069
C 0.2728 0.6130 0.0607
C 0.2728 0.8870 0.5607
C 0.4813 0.0107 0.2846
C 0.4813 0.4893 0.7846
C 0.5187 0.5107 0.2154
C 0.5187 0.9893 0.7154
C 0.7272 0.1130 0.4393
C 0.7272 0.3870 0.9393
C 0.7684 0.7365 0.8931
C 0.7684 0.7635 0.3931
C 0.8029 0.6276 0.5682
C 0.8029 0.8724 0.0682
C 0.8557 0.0819 0.9472
C 0.8557 0.4181 0.4472
C 0.8976 0.1590 0.0534
C 0.8976 0.3410 0.5534
S 0.2758 0.0126 0.7355
S 0.2758 0.4874 0.2355
S 0.4860 0.7440 0.3373
S 0.4860 0.7560 0.8373
S 0.4885 0.6446 0.0389
S 0.4885 0.8554 0.5389
S 0.5115 0.1446 0.4611
S 0.5115 0.3554 0.9611
S 0.5140 0.2440 0.1627
S 0.5140 0.2560 0.6627
S 0.7242 0.5126 0.7645
S 0.7242 0.9874 0.2645
N 0.0271 0.2232 0.5663
N 0.0271 0.2768 0.0663
N 0.0319 0.1186 0.0366
N 0.0319 0.3814 0.5366
N 0.1174 0.5898 0.0737
N 0.1174 0.9102 0.5737
N 0.3073 0.0272 0.3021
N 0.3073 0.4728 0.8021
N 0.6927 0.5272 0.1979
N 0.6927 0.9728 0.6979
N 0.8826 0.0898 0.4263
N 0.8826 0.4102 0.9263
N 0.9681 0.6186 0.4634
N 0.9681 0.8814 0.9634
N 0.9729 0.7232 0.9337
N 0.9729 0.7768 0.4337